Entry 1:
Density functional theory data (GGA-PBE) for crystalline KLiPH3O3F at its relaxed geometry.

Volume: 531.57 Å³/cell
Density: 1.84 g/cm³
Space group: No. 14

The structure in POSCAR format:
```
KLiPH3O3F
1.0
7.9466 0.0000 0.0000
0.0000 5.5394 0.0000
0.0000 5.3383 12.0758
Li H K O P F
4 12 4 12 4 4
Cartesian
0.4219 4.4041 7.4602
4.3952 9.1428 10.6536
3.5514 1.7349 1.4222
7.5248 6.4736 4.6157
3.8337 4.1111 8.3178
4.7978 1.7370 3.8808
0.6939 8.7865 9.6784
7.1221 4.4062 9.9187
4.6672 4.7604 8.4353
7.8070 9.4357 9.7959
3.1488 9.1407 8.1951
4.1130 6.7666 3.7580
0.1397 1.4420 2.2799
3.2794 6.1173 3.6405
0.8245 6.4716 2.1571
7.2527 2.0912 2.3974
1.8675 3.8544 4.2754
5.8408 4.3541 1.7625
2.1058 6.5236 10.3134
6.0791 7.0233 7.8004
6.9660 4.6764 4.3125
4.9540 7.3456 10.3504
5.4809 5.0033 11.2389
6.4390 2.3341 5.2010
2.9927 3.5321 1.7254
1.5076 8.5436 6.8749
2.4657 5.8744 0.8369
0.9807 6.2013 7.7633
2.5838 9.2484 11.2884
5.3628 1.6293 0.7874
1.3895 6.5792 5.2505
6.5571 4.2985 6.8254
6.2938 3.8345 5.3931
2.3205 4.3740 0.6448
5.6262 6.5037 11.4310
1.6529 7.0432 6.6827
0.7267 4.1140 0.8652
4.7000 4.0945 5.1727
3.2467 6.7832 6.9031
7.2200 6.7637 11.2106
```

---

Entry 2:
Density functional theory data (GGA-PBE) for crystalline InP2H9N2O8 at its relaxed geometry.

Volume: 405.36 Å³/cell
Density: 2.80 g/cm³
Space group: No. 43

The structure in POSCAR format:
```
InP2H9N2O8
1.0
0.0000 4.8777 8.9111
4.6629 0.0000 8.9111
4.6629 4.8777 0.0000
O H P In N
16 18 4 2 4
Cartesian
3.1163 5.0621 14.2891
3.1541 3.0194 8.8740
5.4855 5.4583 13.4038
1.5675 4.8769 8.8864
6.8499 4.0198 11.1722
6.1718 3.0194 8.9482
2.4759 4.0198 6.6501
3.8403 5.4583 4.4185
6.2095 5.0621 3.5331
0.7639 2.4380 4.4308
3.8781 7.5009 9.8336
3.8990 2.4380 4.4803
4.8074 1.5809 6.7166
7.7583 4.8769 8.9359
4.5185 1.5809 11.1057
5.4478 7.5009 7.9887
4.3019 4.5260 7.1015
7.3554 6.9649 11.5570
5.0239 4.5260 10.7208
3.4704 4.2452 10.1167
3.9116 5.8457 10.5110
5.8554 4.2452 7.7056
6.0608 7.1487 10.5389
6.2431 8.2845 11.7668
2.3315 0.2460 4.4556
5.4143 5.8457 7.3113
4.6629 7.5626 8.9111
3.7293 4.7098 11.7389
5.8019 6.6841 12.1611
5.5966 4.7098 6.0834
3.5240 6.6841 5.6611
6.6334 6.9649 15.1764
3.2651 7.1487 7.2833
7.7457 8.2845 14.9666
1.9824 3.6460 8.0561
5.0120 6.0848 3.6005
4.3139 6.0848 14.2217
7.3434 3.6460 9.7662
4.6629 1.4449 8.9111
2.3315 3.8838 4.4556
4.0355 4.8382 10.7698
7.6218 7.2771 15.2254
6.3670 7.2771 11.5080
5.2903 4.8382 7.0524
```

---

Entry 3:
Density functional theory data (GGA-PBE) for crystalline BaC2 at its relaxed geometry.

Volume: 422.15 Å³/cell
Density: 5.08 g/cm³
Space group: No. 62

The structure in POSCAR format:
```
BaC2
1.0
-2.0934 5.1022 0.7013
-0.6111 -1.2990 7.6265
9.0319 3.5238 1.3239
C Ba
16 8
Cartesian
6.9544 6.3151 7.8676
1.2464 5.4520 3.3375
4.4891 3.3173 6.5124
-1.1254 3.9963 6.8479
5.0809 1.8750 6.3142
-0.6271 1.0119 1.7841
1.8382 4.0097 3.1393
-0.5336 2.5540 6.6497
6.8609 4.7730 3.0021
3.5335 2.1048 6.2520
7.4548 3.9931 4.2198
7.4527 3.3307 2.8038
2.7938 5.2222 3.3997
2.0420 5.1008 2.0384
-1.1275 3.3339 5.4319
4.2853 2.2262 7.6133
7.1054 3.3453 7.8893
4.6565 2.9202 3.6723
1.6708 4.4068 5.9794
2.3647 2.3978 0.6316
3.9626 4.9292 9.0201
0.7938 1.2546 4.2593
-0.7781 3.9817 1.7624
5.5335 6.0724 5.3924
```

---

Entry 4:
Density functional theory data (GGA-PBE) for crystalline LaMg6Ga at its relaxed geometry.

Volume: 197.20 Å³/cell
Density: 2.98 g/cm³
Space group: No. 38

The structure in POSCAR format:
```
LaMg6Ga
1.0
2.7105 5.5154 2.8907
-6.6530 -1.0377 -0.8850
-0.2586 -2.3136 4.6567
Mg La Ga
6 1 1
Cartesian
-0.4102 0.4599 3.1160
-4.9740 0.1373 -0.2080
-0.4948 3.2722 1.5982
-3.6464 2.8029 1.1901
-2.3770 2.6937 4.1166
-1.7545 0.6541 0.2276
0.9168 3.1938 4.5479
-3.5471 0.0697 2.7479
```

---

Entry 5:
Density functional theory data (GGA-PBE) for crystalline Sr3Fe2N4 at its relaxed geometry.

Volume: 556.90 Å³/cell
Density: 5.14 g/cm³
Space group: No. 52

The structure in POSCAR format:
```
Sr3Fe2N4
1.0
-5.3076 -1.3303 2.1605
2.6203 -9.5778 0.5395
3.2503 1.3871 8.8391
N Sr Fe
16 12 8
Cartesian
1.7047 -7.8517 9.5228
1.2159 -0.4091 2.9914
0.8901 -8.9207 4.4470
1.5496 -3.7288 1.7670
-0.9866 -5.7922 9.7721
1.9544 -8.2125 1.9047
1.0354 -3.4809 8.6659
-0.4724 -6.0401 2.8733
0.3620 -6.1235 7.2884
-1.6066 -3.7015 7.6322
-1.1417 -1.6693 2.0163
-1.3914 -1.3085 9.6345
-0.3272 -0.6003 7.0922
0.2010 -3.3975 4.2507
-0.6530 -9.1119 8.5477
2.1696 -5.8195 3.9069
-2.7035 -7.3516 3.0179
1.6086 0.9202 8.5233
-1.1419 -8.6778 6.0376
1.7048 -0.8432 5.5015
-3.6660 -0.8634 2.4764
-2.0860 -3.9863 2.2627
3.2664 -2.1694 8.5212
2.6489 -5.5347 9.2764
-1.5007 -1.7438 5.0814
2.0636 -7.7772 6.4577
1.9231 -4.2936 6.0854
-1.3602 -5.2274 5.4537
0.6447 -2.2539 2.6797
-0.2860 -4.7690 8.3749
-0.0817 -7.2671 8.8595
-1.4898 0.0653 8.3943
-0.3840 -2.2255 8.1795
-0.5675 -0.0085 2.6053
0.8490 -4.7520 3.1643
0.9469 -7.2954 3.3597
```

---

Entry 6:
Density functional theory data (GGA-PBE) for crystalline Ni3Sn at its relaxed geometry.

Volume: 102.93 Å³/cell
Density: 9.51 g/cm³
Space group: No. 59

The structure in POSCAR format:
```
Ni3Sn
1.0
4.2457 0.0000 0.0000
0.0000 4.5626 0.0000
0.0000 0.0000 5.3133
Sn Ni
2 6
Cartesian
0.0000 1.5228 0.0000
2.1228 3.0398 2.6567
0.0000 1.4046 2.6567
0.0000 3.8119 4.0016
2.1228 3.1580 0.0000
0.0000 3.8119 1.3118
2.1228 0.7507 1.3449
2.1228 0.7507 3.9684
```

---

Entry 7:
Density functional theory data (GGA-PBE) for crystalline Er4Ge6Ir7 at its relaxed geometry.

Volume: 292.76 Å³/cell
Density: 13.90 g/cm³
Space group: No. 229

The structure in POSCAR format:
```
Er4Ge6Ir7
1.0
-4.1830 4.1830 4.1830
4.1830 -4.1830 4.1830
4.1830 4.1830 -4.1830
Ir Er Ge
7 4 6
Cartesian
4.1830 2.0915 0.0000
2.0915 0.0000 4.1830
4.1830 0.0000 2.0915
0.0000 4.1830 2.0915
0.0000 0.0000 0.0000
0.0000 2.0915 4.1830
2.0915 4.1830 0.0000
2.0915 2.0915 2.0915
2.0915 -2.0915 2.0915
-2.0915 2.0915 2.0915
2.0915 2.0915 -2.0915
0.0000 0.0000 5.7216
0.0000 2.6443 0.0000
5.7216 0.0000 0.0000
0.0000 5.7216 0.0000
2.6443 0.0000 0.0000
0.0000 0.0000 2.6443
```

---

Entry 8:
Density functional theory data (GGA-PBE) for crystalline Mg14TiZnO16 at its relaxed geometry.

Volume: 314.38 Å³/cell
Density: 3.75 g/cm³
Space group: No. 47

The structure in POSCAR format:
```
Mg14TiZnO16
1.0
-8.5369 -0.2409 0.9013
0.5414 -8.0397 2.9794
0.3771 1.4972 3.9716
Ti Mg O Zn
1 14 16 1
Cartesian
0.2707 -4.0199 1.4897
-4.2684 -0.1204 0.4507
-1.7339 -6.0990 2.4638
-6.2616 -2.1816 1.4169
-3.6737 -5.4047 4.6721
-2.0058 -2.0616 0.9676
-1.9467 0.6883 2.2112
0.5964 -5.3085 4.2304
-3.9448 -1.3787 3.1802
-3.9977 -4.1403 1.9403
-1.7007 -3.3322 3.7035
-5.9177 -3.4512 4.1487
0.3220 -1.2340 2.7205
-6.2131 0.5680 2.6617
-5.9897 -6.2191 2.9131
-1.5294 -5.3386 4.4436
-6.3612 -0.1795 0.6716
-6.0890 -1.4448 3.4086
0.4592 -3.2713 3.4755
-3.8624 -6.1496 2.6850
0.1885 0.7486 1.9858
0.4068 -6.0402 2.2384
-1.9095 -4.0814 1.7199
-1.7998 -1.3238 2.9558
-2.1757 -0.0614 0.2297
-3.8092 -3.3917 3.9261
-6.0859 -4.1992 2.1608
0.1347 -1.9995 0.7410
-5.8187 -5.4597 4.8965
-4.0799 0.6281 2.4364
-4.1331 -2.1310 1.1957
0.0000 0.0000 0.0000
```

---

Entry 9:
Density functional theory data (GGA-PBE) for crystalline LaIn6Ni7 at its relaxed geometry.

Volume: 477.43 Å³/cell
Density: 8.62 g/cm³
Space group: No. 72

The structure in POSCAR format:
```
LaIn6Ni7
1.0
-4.0409 4.6942 6.2923
4.0409 -4.6942 6.2923
4.0409 4.6942 -6.2923
In La Ni
12 2 14
Cartesian
1.3957 7.5799 1.7512
1.3957 7.5799 -1.7512
2.6172 -0.4167 6.2923
1.4237 4.2775 6.2923
2.6172 0.4168 0.0000
2.6452 -2.8857 4.5412
1.3957 1.8086 8.0435
2.6452 -2.8857 8.0435
1.3957 1.8086 4.5412
2.6452 2.8857 1.7512
2.6452 2.8857 -1.7512
1.4237 5.1110 0.0000
0.0000 4.6942 3.1462
4.0409 0.0000 3.1462
1.0205 -0.8219 8.4510
1.0205 0.8219 2.1586
0.6031 2.4516 0.0000
1.0205 -0.8219 4.1337
-0.6031 2.4516 6.2923
3.0204 5.5161 -2.1586
3.0204 5.5161 2.1586
3.4378 2.2426 6.2923
0.0000 0.0000 6.2923
1.0205 0.8219 10.4261
3.0204 3.8724 4.1337
3.0204 3.8724 -4.1337
4.6440 2.2427 0.0000
0.0000 0.0000 0.0000
```

---

Entry 10:
Density functional theory data (GGA-PBE) for crystalline Sn4Te3Se at its relaxed geometry.

Volume: 357.99 Å³/cell
Density: 4.34 g/cm³
Space group: No. 160

The structure in POSCAR format:
```
Sn4Te3Se
1.0
2.8583 2.9337 -0.8745
1.1658 -4.0009 0.4179
-4.0896 -5.7462 -22.6156
Sn Se Te
4 1 3
Cartesian
-2.1459 -7.2274 -21.2316
0.7714 -0.8614 -10.3981
-0.7350 -4.0909 -16.1267
0.5835 -4.5682 -3.3888
1.1645 -4.0022 0.4090
1.4564 -0.1940 -5.9198
-1.5552 -6.6518 -17.3695
-0.0486 -3.4221 -11.6396
```

---

Entry 11:
Density functional theory data (GGA-PBE) for crystalline B2Pb2S5 at its relaxed geometry.

Volume: 1497.53 Å³/cell
Density: 5.29 g/cm³
Space group: No. 92

The structure in POSCAR format:
```
B2Pb2S5
1.0
9.7470 0.0000 0.0000
0.0000 9.7470 0.0000
0.0000 0.0000 15.7629
S Pb B
40 16 16
Cartesian
3.9369 5.8100 11.8222
7.3081 0.7435 2.1724
2.5890 3.9515 3.9075
8.6088 4.1817 9.5352
4.2086 5.5276 6.1473
8.8104 8.8104 0.0000
4.2194 5.5384 1.7341
0.7435 7.3081 13.5905
9.0821 9.0929 5.6749
0.6541 0.6649 2.2066
2.4389 9.0035 10.0539
5.5276 4.2086 9.6156
9.0035 2.4389 5.7091
0.9220 7.4625 7.8482
3.9515 2.5890 11.8554
2.2845 8.8250 0.0332
6.0117 9.0552 10.1684
0.6649 0.6541 13.5563
2.5790 7.1680 3.9407
5.8100 3.9369 3.9407
4.1817 8.6088 6.2277
0.6918 3.7353 13.4760
5.7955 7.1580 3.9740
4.1300 2.4346 6.1131
2.2945 2.2945 0.0000
8.8250 2.2845 15.7297
7.1580 5.7955 11.7889
1.1382 5.5653 1.6538
2.4346 4.1300 9.6498
5.5653 1.1382 14.1091
9.0929 9.0821 10.0881
9.0552 6.0117 5.5945
7.1680 2.5790 11.8222
7.4625 0.9220 7.9147
7.4525 7.4525 7.8815
7.3124 5.6170 1.7683
0.9366 0.9366 7.8815
5.6170 7.3124 13.9946
3.7353 0.6918 2.2869
5.5384 4.2194 14.0288
5.3550 2.6299 1.1191
2.2436 0.4816 5.0598
7.5034 9.2654 12.9412
5.4412 8.3521 1.3815
4.3058 1.3948 9.2629
3.4786 9.1793 13.2036
6.2683 0.5677 5.3222
2.6299 5.3550 14.6439
9.2654 7.5034 2.8217
4.3919 7.1171 9.0005
8.3521 5.4412 14.3814
1.3948 4.3058 6.5000
9.1793 3.4786 2.5593
0.4816 2.2436 10.7031
7.1171 4.3919 6.7624
0.5677 6.2683 10.4407
9.0289 7.5167 6.7974
4.1899 3.9723 4.9793
0.9012 9.0634 8.9200
8.8458 0.6836 1.0386
2.2303 0.7181 1.0840
5.5571 5.7747 12.8608
0.7181 2.2303 14.6789
7.5167 9.0289 8.9655
2.6432 5.5915 2.8567
5.5915 2.6432 12.9062
7.1038 4.1554 10.7381
3.9723 4.1899 10.7836
5.7747 5.5571 2.9022
9.0634 0.9012 6.8429
4.1554 7.1038 5.0248
0.6836 8.8458 14.7243
```

---

Entry 12:
Density functional theory data (GGA-PBE) for crystalline Th2SN2 at its relaxed geometry.

Volume: 97.30 Å³/cell
Density: 8.95 g/cm³
Space group: No. 164

The structure in POSCAR format:
```
Th2SN2
1.0
-3.3382 -2.1255 -0.7238
2.7944 -1.4369 2.5122
-3.1597 3.1518 5.3173
N S Th
2 1 2
Cartesian
-2.4603 -0.7326 2.3177
-1.2431 0.3219 4.7881
0.0000 0.0000 0.0000
-3.5434 0.3478 4.1403
-0.1600 -0.7584 2.9654
```

---

Entry 13:
Density functional theory data (GGA-PBE) for crystalline MnNCl3 at its relaxed geometry.

Volume: 91.39 Å³/cell
Density: 3.19 g/cm³
Space group: No. 221

The structure in POSCAR format:
```
MnNCl3
1.0
4.5043 0.0000 0.0000
0.0000 4.5043 0.0000
0.0000 0.0000 4.5043
Cl Mn N
3 1 1
Cartesian
2.2521 2.2521 0.0000
2.2521 0.0000 2.2521
0.0000 2.2521 2.2521
2.2521 2.2521 2.2521
0.0000 0.0000 0.0000
```

---

Number 1: electronic total energy -4.97 eV per atom. Number 2: electronic total energy -5.86 eV per atom. Number 3: electronic total energy -6.38 eV per atom. Number 4: electronic total energy -2.25 eV per atom. Number 5: electronic total energy -6.62 eV per atom. Number 6: electronic total energy -5.51 eV per atom. Number 7: electronic total energy -7.24 eV per atom. Number 8: electronic total energy -6.02 eV per atom. Number 9: electronic total energy -4.65 eV per atom. Number 10: electronic total energy -3.82 eV per atom. Number 11: electronic total energy -5.10 eV per atom. Number 12: electronic total energy -9.13 eV per atom. Number 13: electronic total energy -4.11 eV per atom.